Compound: AlFe3H
Source: the Materials Project database
Functional: PBE
Structure: optimized geometry

Computed properties:
Space group: Pm-3m (221)
ΔH_f (0 K) (kcal/mol of atoms): -4.7

Structure (extended XYZ):
```
5
Lattice="-2.682 -1.444 -2.070 2.457 -0.804 -2.622 0.577 -3.291 1.549" Properties=species:S:1:pos:R:3 pbc="T T T"
Al 0.176 -2.769 -1.572
Fe -1.341 -0.722 -1.035
H 0.000 0.000 0.000
Fe 0.288 -1.646 0.774
Fe 1.229 -0.402 -1.311
```

Compound: HfAlFe
Source: the Materials Project database
Functional: PBE
Structure: optimized geometry

Computed properties:
Space group: Amm2 (38)
ΔH_f (0 K) (kcal/mol of atoms): -9.7

Structure (extended XYZ):
```
12
Lattice="1.221 1.940 4.496 3.027 4.029 0.229 -6.569 4.956 -0.355" Properties=species:S:1:pos:R:3 pbc="T T T"
Hf -2.204 4.739 1.388
Al -2.868 6.721 3.561
Al 4.158 5.977 4.691
Hf -4.801 6.698 1.247
Al 0.997 8.361 4.520
Al -1.983 7.745 1.476
Hf 2.374 4.365 3.145
Fe -0.924 2.248 0.709
Fe -0.333 3.186 2.869
Fe -1.387 8.692 3.676
Hf 0.042 6.124 3.019
Fe 0.532 4.186 0.825
```

Compound: HfAl6Fe6
Source: the Materials Project database
Functional: PBE
Structure: optimized geometry

Computed properties:
Space group: Immm (71)
ΔH_f (0 K) (kcal/mol of atoms): -8.9

Structure (extended XYZ):
```
13
Lattice="5.712 -1.172 2.832 1.878 4.972 -3.712 -3.862 -0.673 5.163" Properties=species:S:1:pos:R:3 pbc="T T T"
Fe 4.278 1.418 1.649
Al 3.324 0.278 3.720
Al 0.405 2.848 0.564
Fe 0.939 2.486 -1.856
Fe 1.864 1.563 2.142
Fe -1.931 -0.337 2.582
Al 0.620 -0.618 2.678
Al 4.981 2.494 -0.577
Al 1.231 -1.227 5.317
Al 2.609 1.306 -0.302
Fe -0.550 1.709 2.635
Hf 0.000 0.000 0.000
Fe 2.856 -0.586 1.416
```